## CrGaMo6H38O40 (GGA+U)

Data for an optimized crystal structure of CrGaMo6H38O40.

Cell lengths 6.8829, 11.4488, 11.8274 Å; angles 101.79, 96.71, 102.28 degrees
Sites, in units of the cell vectors:
1 O 0.5101 0.2502 0.3018
2 O 0.9092 0.7708 0.7502
3 O 0.0068 0.5668 0.6701
4 O 0.8937 0.6390 0.4641
5 O 0.8569 0.8933 0.2349
6 O 0.8813 0.8226 0.9972
7 O 0.5826 0.6794 0.1108
8 O 0.4955 0.1406 0.5874
9 O 0.1187 0.1774 0.0028
10 O 0.1680 0.0669 0.3995
11 O 0.4873 0.1798 0.0586
12 O 0.7886 0.1131 0.3623
13 O 0.1063 0.3610 0.5359
14 O 0.4899 0.7498 0.6982
15 O 0.2102 0.9664 0.8995
16 O 0.4346 0.8879 0.1680
17 O 0.9279 0.3332 0.9309
18 O 0.3730 0.3979 0.1690
19 O 0.5127 0.8202 0.9414
20 O 0.7214 0.4045 0.4873
21 O 0.5045 0.8594 0.4126
22 O 0.9932 0.4332 0.3299
23 O 0.5654 0.1121 0.8320
24 O 0.9072 0.2399 0.6651
25 O 0.8320 0.9331 0.6005
26 O 0.6270 0.6021 0.8310
27 O 0.8226 0.4711 0.1288
28 O 0.2786 0.5955 0.5127
29 O 0.8122 0.9629 0.8481
30 O 0.7898 0.0336 0.1005
31 O 0.0721 0.6668 0.0691
32 O 0.1774 0.5289 0.8712
33 O 0.1878 0.0371 0.1519
34 O 0.0908 0.2292 0.2498
35 O 0.0928 0.7601 0.3349
36 O 0.4852 0.3810 0.6451
37 O 0.2114 0.8869 0.6377
38 O 0.5148 0.6190 0.3549
39 O 0.1431 0.1067 0.7651
40 O 0.4174 0.3206 0.8892
41 H 0.0267 0.3516 0.3019
42 H 0.4050 0.1100 0.5108
43 H 0.2976 0.9112 0.9147
44 H 0.6836 0.4790 0.1258
45 H 0.0353 0.2338 0.9785
46 H 0.3164 0.5210 0.8742
47 H 0.8306 0.2867 0.8609
48 H 0.0222 0.3075 0.5816
49 H 0.5504 0.9186 0.3664
50 H 0.5193 0.7066 0.3539
51 H 0.8538 0.3683 0.9918
52 H 0.9733 0.6484 0.6981
53 H 0.2824 0.9829 0.1618
54 H 0.0107 0.8114 0.3034
55 H 0.6423 0.4018 0.5536
56 H 0.7760 0.1852 0.6239
57 H 0.9256 0.4561 0.2606
58 H 0.5950 0.8900 0.4892
59 H 0.4637 0.5654 0.2759
60 H 0.7024 0.0888 0.0853
61 H 0.0980 0.4516 0.8861
62 H 0.7176 0.0171 0.8382
63 H 0.0744 0.5439 0.7394
64 H 0.9778 0.6925 0.4184
65 H 0.9020 0.5484 0.1139
66 H 0.1694 0.7133 0.1391
67 H 0.3577 0.5982 0.4464
68 H 0.2499 0.3802 0.5751
69 H 0.1462 0.6317 0.0082
70 H 0.7501 0.6198 0.4249
71 H 0.2240 0.8148 0.3761
72 H 0.9893 0.1886 0.6966
73 H 0.5363 0.4346 0.7241
74 H 0.4807 0.2934 0.6461
75 H 0.4496 0.0814 0.6336
76 H 0.3528 0.6598 0.5851
77 H 0.9647 0.7662 0.0215
78 H 0.6472 0.3402 0.4149
79 Mo 0.3717 0.1672 0.8950
80 Mo 0.6283 0.8328 0.1050
81 Mo 0.9777 0.0719 0.2911
82 Mo 0.6618 0.7551 0.8204
83 Mo 0.0223 0.9281 0.7089
84 Mo 0.3382 0.2449 0.1796
85 Ga 0.0000 0.5000 0.5000
86 Cr 0.0000 0.0000 0.0000

DFT total energy	-0.415	Ry/atom